Entry 1:
VASP calculation (GGA-PBE) on a relaxed NaNpSeO6 crystal.

Results
**E_tot**: -0.50196 Ry/atom
**Energy of formation**: -2.01 eV per atom
**Crystal system**: monoclinic
**Corrected total energy (MP2020 scheme)**: -0.2678 hartree per atom

abc: 8.4170 8.4170 6.8422
angles: 70.39 109.61 128.81
Atoms (fractional coordinates):
1 Na 0.5370 0.4630 0.7913
2 Na 0.4630 0.5370 0.2087
3 Np 0.7372 0.2628 0.6314
4 Np 0.2628 0.7372 0.3686
5 Se 0.2033 0.7967 0.7999
6 Se 0.7967 0.2033 0.2001
7 O 0.0685 0.5853 0.6754
8 O 0.4147 0.9315 0.6754
9 O 0.9315 0.4147 0.3246
10 O 0.5853 0.0685 0.3246
11 O 0.8634 0.1366 0.7652
12 O 0.1366 0.8634 0.2348
13 O 0.7106 0.2894 0.9497
14 O 0.2894 0.7106 0.0503
15 O 0.6076 0.3924 0.5088
16 O 0.3924 0.6076 0.4912
17 O 0.2934 0.2934 0.0000
18 O 0.7066 0.7066 0.0000


Entry 2:
VASP calculation (GGA-PBE) on a relaxed ZrFeGe2 crystal.

Results
**E_tot**: -0.52001 Ry/atom
**Energy of formation**: -0.51 eV per atom
**Crystal system**: orthorhombic

abc: 7.9888 9.2327 10.2404
angles: 90.00 90.00 90.00
Atoms (fractional coordinates):
1 Zr 0.7465 0.8269 0.0490
2 Zr 0.7465 0.1731 0.9510
3 Zr 0.2535 0.6731 0.5490
4 Zr 0.2535 0.3269 0.4510
5 Zr 0.2535 0.1731 0.9510
6 Zr 0.2535 0.8269 0.0490
7 Zr 0.7465 0.3269 0.4510
8 Zr 0.7465 0.6731 0.5490
9 Zr 0.5000 0.8358 0.3223
10 Zr 0.5000 0.1642 0.6777
11 Zr 0.5000 0.6642 0.8223
12 Zr 0.5000 0.3358 0.1777
13 Fe 0.7493 0.5921 0.2521
14 Fe 0.7493 0.4079 0.7479
15 Fe 0.2507 0.9079 0.7521
16 Fe 0.2507 0.0921 0.2479
17 Fe 0.2507 0.4079 0.7479
18 Fe 0.2507 0.5921 0.2521
19 Fe 0.7493 0.0921 0.2479
20 Fe 0.7493 0.9079 0.7521
21 Fe 0.7463 0.0000 0.5000
22 Fe 0.2537 0.5000 0.0000
23 Fe 0.2537 0.0000 0.5000
24 Fe 0.7463 0.5000 0.0000
25 Ge 0.8437 0.8429 0.3194
26 Ge 0.8437 0.1571 0.6806
27 Ge 0.1563 0.6571 0.8194
28 Ge 0.1563 0.3429 0.1806
29 Ge 0.1563 0.1571 0.6806
30 Ge 0.1563 0.8429 0.3194
31 Ge 0.8437 0.3429 0.1806
32 Ge 0.8437 0.6571 0.8194
33 Ge 0.5000 0.5400 0.3791
34 Ge 0.5000 0.4600 0.6209
35 Ge 0.5000 0.9600 0.8791
36 Ge 0.5000 0.0400 0.1209
37 Ge 0.0000 0.5527 0.3794
38 Ge 0.0000 0.4473 0.6206
39 Ge 0.0000 0.9473 0.8794
40 Ge 0.0000 0.0527 0.1206
41 Ge 0.5000 0.6288 0.1030
42 Ge 0.5000 0.3712 0.8970
43 Ge 0.5000 0.8712 0.6030
44 Ge 0.5000 0.1288 0.3970
45 Ge 0.0000 0.6228 0.1014
46 Ge 0.0000 0.3772 0.8986
47 Ge 0.0000 0.8772 0.6014
48 Ge 0.0000 0.1228 0.3986